[1]
{"formula": "Cu3Bi4I16", "functional": "PBE", "state": "relaxed", "lattice_angstrom": [[7.5999, -4.3350, 0.0000], [7.5999, 4.3350, 0.0000], [-4.6908, 0.0000, 14.5563]], "species": ["Cu", "Cu", "Cu", "Bi", "Bi", "Bi", "Bi", "I", "I", "I", "I", "I", "I", "I", "I", "I", "I", "I", "I", "I", "I", "I", "I"], "frac_coords": [[0.0000, 0.0000, 0.0000], [0.5138, 0.5138, 0.0126], [0.7246, 0.7246, 0.2493], [0.0458, 0.0458, 0.7006], [0.2967, 0.2967, 0.9340], [0.3130, 0.8051, 0.4356], [0.8051, 0.3130, 0.4356], [0.1771, 0.1771, 0.0706], [0.1851, 0.1851, 0.5642], [0.1866, 0.6851, 0.5703], [0.1881, 0.6875, 0.0623], [0.4302, 0.9410, 0.3155], [0.4314, 0.4314, 0.3191], [0.4328, 0.9260, 0.8144], [0.4379, 0.4379, 0.8308], [0.6793, 0.6793, 0.5629], [0.6851, 0.1866, 0.5703], [0.6875, 0.1881, 0.0623], [0.6895, 0.6895, 0.0772], [0.9244, 0.9244, 0.8187], [0.9260, 0.4328, 0.8144], [0.9279, 0.9279, 0.3107], [0.9410, 0.4302, 0.3155]], "total_magnetization_mub_per_cell": 0.0, "total_energy_ev_per_atom": -2.6147, "sg": "Cm, No. 8", "formation_enthalpy_0k_ev_per_fu": -13.96}

[2]
{"formula": "CsMgBiO3", "functional": "PBE", "state": "relaxed", "lattice_angstrom": [[3.2305, 1.8651, 3.7970], [-3.2305, 1.8651, 3.7970], [0.0000, -3.7303, 3.7970]], "species": ["Cs", "Mg", "Bi", "O", "O", "O"], "frac_coords": [[0.0000, 0.0000, 0.0000], [0.3849, 0.3849, 0.3849], [0.6480, 0.6480, 0.6480], [0.0650, 0.5741, 0.5741], [0.5741, 0.0650, 0.5741], [0.5741, 0.5741, 0.0650]], "total_magnetization_mub_per_cell": 0.0, "total_energy_ev_per_atom": -5.0860, "polymorph_energy_mev_per_atom": 0, "sg": "R3m, No. 160", "formation_enthalpy_0k_ev_per_fu": -11.35}